VASP calculation (PBE with a Hubbard U) on an optimized crystal structure of CaLaVFeO6.

Calculated values
distance to the lowest polymorph of the same formula	19	meV per atom
volume	11.9	Å³ per atom
density	5.34	Mg/m³
energy of formation	-2870	meV per atom

Unit cell a=5.4631 b=5.4657 c=12.5234 alpha=102.34 beta=102.36 gamma=90.93
Last column: nearest neighbours and their distance in Å.
Space group P1 (No. 1)
Symmetry-distinct sites (fractional):
Ca: 0.0000 0.0000 0.0000 [1 per cell]  6 O 2.42-2.63
Ca: 0.3320 0.3349 0.6667 [1 per cell]  6 O 2.42-2.64
Ca: 0.6660 0.6709 0.3345 [1 per cell]  6 O 2.40-2.64
La: 0.1554 0.1829 0.3297 [1 per cell]  6 O 2.43-2.65
La: 0.4906 0.5162 0.9973 [1 per cell]  6 O 2.44-2.67
La: 0.8238 0.8514 0.6639 [1 per cell]  6 O 2.44-2.66
V: 0.2430 0.7608 0.4985 [1 per cell]  6 O 1.89-2.01
V: 0.4115 0.9286 0.8325 [1 per cell]  6 O 1.90-1.99
V: 0.5767 0.0948 0.1662 [1 per cell]  6 O 1.90-2.01
Fe: 0.0761 0.5938 0.1648 [1 per cell]  6 O 1.99-2.05
Fe: 0.7443 0.2617 0.4988 [1 per cell]  6 O 1.98-2.05
Fe: 0.9110 0.4281 0.8321 [1 per cell]  6 O 2.00-2.04
O: 0.0047 0.5431 0.9990 [1 per cell]  2 Fe 1.99-2.00
O: 0.0679 0.4707 0.5113 [1 per cell]  1 V 1.89, 1 Fe 2.05
O: 0.1074 0.7393 0.8229 [1 per cell]  1 V 1.91, 1 Fe 2.03
O: 0.1474 0.6479 0.3337 [1 per cell]  1 V 1.97, 1 Fe 2.02
O: 0.2223 0.2318 0.8356 [1 per cell]  1 V 1.96, 1 Fe 2.02
O: 0.2683 0.2818 0.1591 [1 per cell]  1 V 1.98, 1 Fe 2.01
O: 0.3390 0.8777 0.6667 [1 per cell]  2 V 1.99-2.01
O: 0.4005 0.8046 0.1792 [1 per cell]  1 V 1.90, 1 Fe 2.05
O: 0.4250 0.0514 0.4884 [1 per cell]  1 V 1.90, 1 Fe 2.04
O: 0.4801 0.9821 0.9985 [1 per cell]  2 V 1.99-2.01
O: 0.5512 0.5731 0.5013 [1 per cell]  1 V 1.98, 1 Fe 2.02
O: 0.5960 0.6231 0.8251 [1 per cell]  1 V 1.96, 1 Fe 2.04
O: 0.6720 0.2102 0.3312 [1 per cell]  1 V 1.98, 1 Fe 2.01
O: 0.7157 0.1176 0.8444 [1 per cell]  1 V 1.90, 1 Fe 2.04
O: 0.7576 0.3861 0.1571 [1 per cell]  1 V 1.90, 1 Fe 2.04
O: 0.8141 0.3142 0.6645 [1 per cell]  2 Fe 1.98-2.01
O: 0.8834 0.9050 0.1692 [1 per cell]  1 V 1.98, 1 Fe 2.01
O: 0.9367 0.9490 0.4916 [1 per cell]  1 V 1.97, 1 Fe 2.02

VASP calculation (PBE with a Hubbard U) on an optimized crystal structure of LiCa3Fe5Sn3O16.

Calculated values
volume	11.7	Å³ per atom
density	5.18	Mg/m³
energy of formation	-2179	meV per atom

Unit cell a=9.4498 b=3.1298 c=11.0475 alpha=90.00 beta=90.15 gamma=90.00
Last column: nearest neighbours and their distance in Å.
Space group Pm (No. 6)
Symmetry-distinct sites (fractional):
Li: 0.0000 0.0000 0.0000 [1 per cell]  4 O 2.25-2.45
Ca: 0.4824 0.5000 0.3031 [1 per cell]  8 O 2.37-2.64
Ca: 0.4907 0.0000 0.7895 [1 per cell]  7 O 2.34-2.61
Ca: 0.9688 0.5000 0.4937 [1 per cell]  7 O 2.40-2.55
Fe: 0.3036 0.5000 0.5272 [1 per cell]  6 O 2.12-2.26
Fe: 0.3104 0.5000 0.0351 [1 per cell]  6 O 2.03-2.11
Fe: 0.6444 0.0000 0.5335 [1 per cell]  6 O 1.99-2.18
Fe: 0.7971 0.5000 0.2604 [1 per cell]  6 O 2.09-2.24
Fe: 0.8020 0.5000 0.7435 [1 per cell]  6 O 2.03-2.15
Sn: 0.1414 0.0000 0.2445 [1 per cell]  6 O 2.04-2.16
Sn: 0.1572 0.0000 0.7541 [1 per cell]  6 O 2.03-2.16
Sn: 0.6751 0.0000 0.0314 [1 per cell]  6 O 2.02-2.21
O: 0.0190 0.5000 0.8033 [1 per cell]  2 Sn 2.11, 1 Fe 2.15
O: 0.1081 0.5000 0.1130 [1 per cell]  1 Fe 2.10, 2 Sn 2.16, 2 Li 2.25
O: 0.1387 0.0000 0.5711 [1 per cell]  1 Sn 2.03, 2 Fe 2.26
O: 0.2092 0.5000 0.3533 [1 per cell]  2 Sn 2.07, 1 Fe 2.12
O: 0.2560 0.0000 0.9276 [1 per cell]  2 Fe 2.03, 1 Sn 2.13
O: 0.3111 0.5000 0.7231 [1 per cell]  2 Sn 2.16, 1 Fe 2.17, 2 Ca 2.42
O: 0.3441 0.0000 0.1601 [1 per cell]  2 Fe 2.11, 1 Sn 2.13
O: 0.4480 0.0000 0.4692 [1 per cell]  3 Fe 1.99-2.17
O: 0.5228 0.5000 0.9770 [1 per cell]  1 Fe 2.11, 2 Sn 2.21
O: 0.6060 0.5000 0.6673 [1 per cell]  3 Fe 2.03-2.18
O: 0.6371 0.0000 0.2116 [1 per cell]  1 Sn 2.02, 2 Fe 2.24
O: 0.7082 0.5000 0.4332 [1 per cell]  3 Fe 2.01-2.09
O: 0.7420 0.0000 0.8526 [1 per cell]  2 Fe 2.06, 1 Sn 2.08
O: 0.8169 0.5000 0.0661 [1 per cell]  2 Sn 2.10, 1 Fe 2.16
O: 0.8438 0.0000 0.6253 [1 per cell]  3 Fe 2.08-2.14
O: 0.9453 0.0000 0.3205 [1 per cell]  1 Sn 2.04, 2 Fe 2.20